(1)
First-principles (GGA+U) data for a relaxed Ca2HoMn4BiO12 crystal, as listed in Materials Project.

abc: 6.2484 5.7345 7.3214
angles: 90.00 90.00 90.04
Closest atoms and distances in Å follow each position.
Element x y z (fractional)
Mn (0.0088, 0.4793, 0.9910)  4 O 1.91-1.97
O (0.5672, 0.9943, 0.7500)  2 Mn 1.94
O (0.1555, 0.1830, 0.9680)  2 Mn 1.94-2.14
O (0.0950, 0.4951, 0.2500)  2 Mn 1.97, 1 Bi 2.21
O (0.1555, 0.1830, 0.5320)  2 Mn 1.94-2.14
O (0.3954, 0.0786, 0.2500)  2 Mn 1.91
O (0.8781, 0.7798, 0.9887)  1 Mn 1.91
O (0.6388, 0.3185, 0.4706)  1 Mn 1.98, 1 Bi 2.20
Mn (0.4670, 0.0315, 0.9986)  4 O 1.91-1.98
O (0.8781, 0.7798, 0.5113)  1 Mn 1.91
Mn (0.4670, 0.0315, 0.5014)  4 O 1.91-1.98
Ca (0.0403, 0.9463, 0.2500)  6 O 2.34-2.61
Bi (0.4474, 0.4737, 0.2500)  6 O 2.20-2.29
Ca (0.5742, 0.5717, 0.7500)  4 O 2.25-2.45
Ho (0.9394, 0.0260, 0.7500)  6 O 2.26-2.33
Mn (0.0088, 0.4793, 0.5090)  4 O 1.91-1.97
O (0.6388, 0.3185, 0.0294)  1 Mn 1.98, 1 Bi 2.20
O (0.3696, 0.7056, 0.4851)  1 Mn 1.97
O (0.3696, 0.7056, 0.0149)  1 Mn 1.97
O (0.9055, 0.4190, 0.7500)  2 Mn 1.91

excess energy over the best structure of this formula in the dataset = 146 meV/atom
DFT formation energy = -2.332 eV per atom
total DFT energy (no corrections) = -140.223 eV for the cell shown
E (MP2020) = -7.757 eV/atom
crystal system = monoclinic
spin magnetization = 15.98 μB per formula unit
volume = 13.12 Å³ per atom

=====

(2)
First-principles (GGA+U) data for a relaxed Ca2HoMn4BiO12 crystal, as listed in Materials Project.

abc: 7.6365 5.3935 5.5631
angles: 89.66 90.00 90.00
Closest atoms and distances in Å follow each position.
Element x y z (fractional)
O (0.5000, 0.0894, 0.4698)  2 Mn 1.99
O (0.5000, 0.4171, 0.9779)  2 Mn 1.99
O (0.7083, 0.7012, 0.2966)  2 Mn 1.99-2.00
O (0.2917, 0.7012, 0.2966)  2 Mn 1.99-2.00
O (0.0000, 0.6024, 0.0245)  2 Mn 1.97
Mn (0.7529, 0.0010, 0.4956)  6 O 1.95-2.02
O (0.8007, 0.2877, 0.7135)  2 Mn 2.00-2.01
O (0.7096, 0.7971, 0.7947)  2 Mn 2.00-2.02
Mn (0.2467, 0.4997, 0.0029)  6 O 1.97-2.01
O (0.1964, 0.1980, 0.1993)  2 Mn 1.99
Ca (0.5000, 0.9879, 0.0462)  6 O 2.34-2.61
Mn (0.7533, 0.4997, 0.0029)  6 O 1.97-2.01
Mn (0.2471, 0.0010, 0.4956)  6 O 1.95-2.02
O (0.8036, 0.1980, 0.1993)  2 Mn 1.99
Bi (0.5000, 0.5129, 0.5549)  6 O 2.34-2.59
Ca (0.0000, 0.4897, 0.4489)  6 O 2.35-2.58
O (0.0000, 0.9149, 0.5347)  2 Mn 1.95
O (0.2904, 0.7971, 0.7947)  2 Mn 2.00-2.02
Ho (0.0000, 0.0161, 0.9378)  6 O 2.28-2.45
O (0.1993, 0.2877, 0.7135)  2 Mn 2.00-2.01

excess energy over the best structure of this formula in the dataset = 0 meV/atom
DFT formation energy = -2.478 eV per atom
total DFT energy (no corrections) = -143.146 eV for the cell shown
E (MP2020) = -7.903 eV/atom
crystal system = monoclinic
spin magnetization = 14.00 μB per formula unit
volume = 11.46 Å³ per atom

=====

(3)
First-principles (GGA+U) data for a relaxed KCaBiWO6 crystal, as listed in Materials Project.

abc: 6.0205 6.0205 6.0205
angles: 60.00 60.00 60.00
Closest atoms and distances in Å follow each position.
Element x y z (fractional)
Ca (0.7500, 0.7500, 0.7500)  12 O 3.02
W (0.5000, 0.5000, 0.5000)  6 O 1.95
Bi (0.0000, 0.0000, 0.0000)  6 O 2.31
O (0.2713, 0.7287, 0.7287)  1 W 1.95
O (0.2713, 0.2713, 0.7287)  1 W 1.95
O (0.7287, 0.7287, 0.2713)  1 W 1.95
O (0.7287, 0.2713, 0.7287)  1 W 1.95
K (0.2500, 0.2500, 0.2500)  12 O 3.02
O (0.7287, 0.2713, 0.2713)  1 W 1.95
O (0.2713, 0.7287, 0.2713)  1 W 1.95

DFT formation energy = -2.210 eV per atom
total DFT energy (no corrections) = -63.188 eV for the cell shown
E (MP2020) = -7.175 eV/atom
crystal system = cubic
spin magnetization = 0.00 μB per formula unit
volume = 15.43 Å³ per atom

=====

(4)
First-principles (GGA+U) data for a relaxed Ca3Mn4BiO12 crystal, as listed in Materials Project.

abc: 7.6614 5.4116 5.4907
angles: 89.77 90.00 90.00
Closest atoms and distances in Å follow each position.
Element x y z (fractional)
O (0.7896, 0.2947, 0.7068)  2 Mn 1.98-1.99
Mn (0.7464, 0.9990, 0.5022)  6 O 1.94-1.99
O (0.7104, 0.7963, 0.7947)  2 Mn 1.96
Mn (0.7457, 0.5008, 0.9967)  6 O 1.93-2.00
O (0.0000, 0.5755, 0.0219)  2 Mn 1.99
O (0.7928, 0.2097, 0.2111)  2 Mn 1.99-2.00
Mn (0.2543, 0.5008, 0.9967)  6 O 1.93-2.00
O (0.5000, 0.4209, 0.9794)  2 Mn 1.93
Bi (0.0000, 0.4916, 0.4472)  8 O 2.36-2.61
O (0.2896, 0.7963, 0.7947)  2 Mn 1.96
O (0.2865, 0.7024, 0.2956)  2 Mn 1.99
O (0.2104, 0.2947, 0.7068)  2 Mn 1.98-1.99
O (0.7135, 0.7024, 0.2956)  2 Mn 1.99
Ca (0.5000, 0.9940, 0.0422)  4 O 2.33-2.43
Ca (0.0000, 0.0072, 0.9560)  6 O 2.36-2.62
O (0.2072, 0.2097, 0.2111)  2 Mn 1.99-2.00
O (0.5000, 0.0770, 0.4767)  2 Mn 1.94
Ca (0.5000, 0.5066, 0.5439)  4 O 2.36-2.43
Mn (0.2536, 0.9990, 0.5022)  6 O 1.94-1.99
O (0.0000, 0.9213, 0.5188)  2 Mn 1.99

DFT formation energy = -2.341 eV per atom
total DFT energy (no corrections) = -137.838 eV for the cell shown
E (MP2020) = -7.638 eV/atom
crystal system = monoclinic
spin magnetization = 13.00 μB per formula unit
volume = 11.38 Å³ per atom

=====

(5)
First-principles (GGA+U) data for a relaxed CaNiBiP2O9 crystal, as listed in Materials Project.

abc: 6.7871 7.6503 14.7473
angles: 90.00 90.00 90.00
Closest atoms and distances in Å follow each position.
Element x y z (fractional)
O (0.7500, 0.1008, 0.4337)  2 Ni 2.10, 1 Bi 2.11
O (0.7500, 0.3992, 0.9337)  2 Ni 2.10, 1 Bi 2.11
O (0.0585, 0.6170, 0.8748)  1 P 1.55
Ca (0.7500, 0.9158, 0.2965)  6 O 2.37-2.53
Ca (0.7500, 0.5842, 0.7965)  6 O 2.37-2.53
O (0.0748, 0.3577, 0.3518)  1 P 1.56
O (0.2500, 0.7908, 0.7562)  1 P 1.57
Ca (0.2500, 0.4158, 0.2035)  6 O 2.37-2.53
O (0.2500, 0.8992, 0.5663)  2 Ni 2.10, 1 Bi 2.11
O (0.4415, 0.6170, 0.8748)  1 P 1.55
O (0.5748, 0.6423, 0.6482)  1 P 1.56
P (0.7500, 0.1232, 0.6818)  4 O 1.55-1.60
Ni (0.0000, 0.0000, 0.5000)  6 O 2.09-2.20
Bi (0.7500, 0.1414, 0.8823)  6 O 2.11-2.34
O (0.4252, 0.1423, 0.8518)  1 P 1.56
O (0.7500, 0.8232, 0.5246)  1 P 1.53
Ni (0.5000, 0.5000, 0.0000)  6 O 2.09-2.20
O (0.9252, 0.6423, 0.6482)  1 P 1.56
P (0.7500, 0.6529, 0.5795)  4 O 1.53-1.56
O (0.2500, 0.4657, 0.7469)  1 P 1.60
O (0.2500, 0.5103, 0.4808)  1 P 1.53
Ni (0.0000, 0.5000, 0.0000)  6 O 2.09-2.20
P (0.7500, 0.8471, 0.0795)  4 O 1.53-1.56
O (0.9415, 0.3830, 0.1252)  1 P 1.55
P (0.2500, 0.6232, 0.8182)  4 O 1.55-1.60
Ni (0.5000, 0.0000, 0.5000)  6 O 2.09-2.20
O (0.0585, 0.8830, 0.3748)  1 P 1.55
P (0.2500, 0.8768, 0.3182)  4 O 1.55-1.60
O (0.2500, 0.0343, 0.2469)  1 P 1.60
O (0.7500, 0.4897, 0.5192)  1 P 1.53
P (0.2500, 0.1529, 0.9205)  4 O 1.53-1.56
O (0.7500, 0.2092, 0.2438)  1 P 1.57
Bi (0.7500, 0.3586, 0.3823)  6 O 2.11-2.34
O (0.2500, 0.7092, 0.2562)  1 P 1.57
O (0.7500, 0.9657, 0.7531)  1 P 1.60
O (0.0748, 0.1423, 0.8518)  1 P 1.56
O (0.7500, 0.0103, 0.0192)  1 P 1.53
Bi (0.2500, 0.8586, 0.1177)  6 O 2.11-2.34
P (0.7500, 0.3768, 0.1818)  4 O 1.55-1.60
O (0.5585, 0.3830, 0.1252)  1 P 1.55
O (0.7500, 0.6768, 0.0246)  1 P 1.53
O (0.4252, 0.3577, 0.3518)  1 P 1.56
Ca (0.2500, 0.0842, 0.7035)  6 O 2.37-2.53
O (0.9252, 0.8577, 0.1482)  1 P 1.56
O (0.2500, 0.3232, 0.9754)  1 P 1.53
Bi (0.2500, 0.6414, 0.6177)  6 O 2.11-2.34
O (0.2500, 0.6008, 0.0663)  2 Ni 2.10, 1 Bi 2.11
O (0.2500, 0.1768, 0.4754)  1 P 1.53
O (0.7500, 0.5343, 0.2531)  1 P 1.60
O (0.5748, 0.8577, 0.1482)  1 P 1.56
O (0.4415, 0.8830, 0.3748)  1 P 1.55
O (0.7500, 0.2908, 0.7438)  1 P 1.57
O (0.2500, 0.9897, 0.9808)  1 P 1.53
O (0.9415, 0.1170, 0.6252)  1 P 1.55
O (0.5585, 0.1170, 0.6252)  1 P 1.55
P (0.2500, 0.3471, 0.4205)  4 O 1.53-1.56

DFT formation energy = -2.416 eV per atom
total DFT energy (no corrections) = -368.540 eV for the cell shown
E (MP2020) = -7.204 eV/atom
crystal system = orthorhombic
spin magnetization = 1.53 μB per formula unit
volume = 13.67 Å³ per atom

=====

(6)
First-principles (GGA+U) data for a relaxed SrCaNiBiO6 crystal, as listed in Materials Project.

abc: 5.7293 5.7293 5.7293
angles: 60.00 60.00 60.00
Closest atoms and distances in Å follow each position.
Element x y z (fractional)
O (0.2575, 0.7425, 0.7425)  1 Ni 1.96, 1 Bi 2.09
Ni (0.5000, 0.5000, 0.5000)  6 O 1.96
O (0.7425, 0.2575, 0.7425)  1 Ni 1.96, 1 Bi 2.09
O (0.2575, 0.2575, 0.7425)  1 Ni 1.96, 1 Bi 2.09
O (0.7425, 0.7425, 0.2575)  1 Ni 1.96, 1 Bi 2.09
O (0.2575, 0.7425, 0.2575)  1 Ni 1.96, 1 Bi 2.09
Bi (0.0000, 0.0000, 0.0000)  6 O 2.09
Sr (0.2500, 0.2500, 0.2500)  12 O 2.87
Ca (0.7500, 0.7500, 0.7500)  12 O 2.87
O (0.7425, 0.2575, 0.2575)  1 Ni 1.96, 1 Bi 2.09

DFT formation energy = -1.901 eV per atom
total DFT energy (no corrections) = -55.399 eV for the cell shown
E (MP2020) = -6.206 eV/atom
crystal system = cubic
spin magnetization = 1.00 μB per formula unit
volume = 13.30 Å³ per atom